# YMo2O7F (PBE with a Hubbard U, optimized geometry)
data_YMo2O7F
_chemical_formula_sum 'Y2 Mo4 O14 F2'
_cell_length_a 4.359
_cell_length_b 6.660
_cell_length_c 11.545
_cell_angle_alpha 90.00
_cell_angle_beta 90.51
_cell_angle_gamma 90.00
_symmetry_space_group_name_H-M 'P 1 2/c 1'
_symmetry_Int_Tables_number 13
loop_
_symmetry_equiv_pos_as_xyz
'x,y,z'
'-x,-y,-z'
'-x,y,-z+1/2'
'x,-y,z+1/2'
loop_
_atom_site_label
_atom_site_type_symbol
_atom_site_fract_x
_atom_site_fract_y
_atom_site_fract_z
Y1 Y 0.000 0.201 0.250
Mo1 Mo 0.097 0.331 0.594
O1 O 0.000 0.440 0.750
O2 O 0.001 0.351 0.067
O3 O 0.017 0.078 0.628
O4 O 0.494 0.342 0.597
F1 F 0.500 0.197 0.250
# **DFT formation energy**: -2.61 eV per atom

# MgCr2W2O8 (PBE with a Hubbard U, optimized geometry)
data_MgCr2W2O8
_chemical_formula_sum 'Mg1 Cr2 W2 O8'
_cell_length_a 4.881
_cell_length_b 5.752
_cell_length_c 5.848
_cell_angle_alpha 64.58
_cell_angle_beta 88.25
_cell_angle_gamma 88.65
_symmetry_space_group_name_H-M 'P -1'
_symmetry_Int_Tables_number 2
loop_
_symmetry_equiv_pos_as_xyz
'x,y,z'
'-x,-y,-z'
loop_
_atom_site_label
_atom_site_type_symbol
_atom_site_fract_x
_atom_site_fract_y
_atom_site_fract_z
Mg1 Mg 0.000 0.000 0.000
Cr1 Cr 0.499 0.750 0.249
W1 W 0.004 0.724 0.726
O1 O 0.169 0.093 0.638
O2 O 0.174 0.631 0.101
O3 O 0.320 0.113 0.111
O4 O 0.322 0.600 0.595
# **DFT formation energy**: -2.17 eV per atom
# **ΔE to the lowest computed polymorph**: 0.002 eV/atom

# LaCrSe2O (PBE with a Hubbard U, optimized geometry)
data_LaCrSe2O
_chemical_formula_sum 'La4 Cr4 Se8 O4'
_cell_length_a 8.783
_cell_length_b 3.898
_cell_length_c 11.706
_cell_angle_alpha 90.00
_cell_angle_beta 90.00
_cell_angle_gamma 90.00
_symmetry_space_group_name_H-M 'P n m a'
_symmetry_Int_Tables_number 62
loop_
_symmetry_equiv_pos_as_xyz
'x,y,z'
'-x,-y,-z'
'-x+1/2,-y,z+1/2'
'x+1/2,y,-z+1/2'
'x+1/2,-y+1/2,-z+1/2'
'-x+1/2,y+1/2,z+1/2'
'-x,y+1/2,-z'
'x,-y+1/2,z'
loop_
_atom_site_label
_atom_site_type_symbol
_atom_site_fract_x
_atom_site_fract_y
_atom_site_fract_z
La1 La 0.046 0.250 0.138
Cr1 Cr 0.175 0.250 0.474
Se1 Se 0.096 0.750 0.607
Se2 Se 0.246 0.750 0.329
O1 O 0.110 0.750 0.036
# **DFT formation energy**: -1.95 eV per atom
# **ΔE to the lowest computed polymorph**: 0.000 eV/atom

# Li11V6O5F19 (PBE with a Hubbard U, optimized geometry)
data_Li11V6O5F19
_chemical_formula_sum 'Li11 V6 O5 F19'
_cell_length_a 5.147
_cell_length_b 5.453
_cell_length_c 16.307
_cell_angle_alpha 80.39
_cell_angle_beta 89.71
_cell_angle_gamma 88.43
_symmetry_space_group_name_H-M 'P 1'
_symmetry_Int_Tables_number 1
loop_
_symmetry_equiv_pos_as_xyz
'x,y,z'
loop_
_atom_site_label
_atom_site_type_symbol
_atom_site_fract_x
_atom_site_fract_y
_atom_site_fract_z
Li1 Li 0.000 0.000 0.000
Li2 Li 0.000 0.324 0.317
Li3 Li 0.502 0.798 0.105
Li4 Li 0.504 0.856 0.332
Li5 Li 0.507 0.154 0.657
Li6 Li 0.511 0.488 0.777
Li7 Li 0.523 0.351 0.426
Li8 Li 0.970 0.851 0.427
Li9 Li 0.984 0.650 0.659
Li10 Li 0.993 0.006 0.777
Li11 Li 0.994 0.355 0.119
V1 V 0.008 0.477 0.889
V2 V 0.480 0.001 0.887
V3 V 0.495 0.317 0.224
V4 V 0.525 0.657 0.561
V5 V 0.976 0.154 0.560
V6 V 0.994 0.817 0.224
O1 O 0.181 0.202 0.854
O2 O 0.181 0.521 0.200
O3 O 0.706 0.920 0.595
O4 O 0.793 0.092 0.257
O5 O 0.795 0.417 0.598
F1 F 0.088 0.363 0.005
F2 F 0.147 0.726 0.341
F3 F 0.151 0.037 0.673
F4 F 0.190 0.859 0.521
F5 F 0.311 0.027 0.179
F6 F 0.311 0.359 0.523
F7 F 0.320 0.701 0.848
F8 F 0.347 0.540 0.673
F9 F 0.350 0.881 0.000
F10 F 0.356 0.196 0.342
F11 F 0.635 0.121 0.774
F12 F 0.638 0.456 0.115
F13 F 0.638 0.703 0.437
F14 F 0.678 0.282 0.919
F15 F 0.687 0.591 0.274
F16 F 0.825 0.800 0.919
F17 F 0.856 0.917 0.107
F18 F 0.861 0.622 0.778
F19 F 0.865 0.206 0.434
# **DFT formation energy**: -2.99 eV per atom
# **ΔE to the lowest computed polymorph**: 0.004 eV/atom

# CsV3B2P4H8O22 (PBE with a Hubbard U, optimized geometry)
data_CsV3B2P4H8O22
_chemical_formula_sum 'Cs2 V6 B4 P8 H16 O44'
_cell_length_a 9.679
_cell_length_b 18.744
_cell_length_c 5.131
_cell_angle_alpha 90.00
_cell_angle_beta 110.56
_cell_angle_gamma 90.00
_symmetry_space_group_name_H-M 'C 1 2/m 1'
_symmetry_Int_Tables_number 12
loop_
_symmetry_equiv_pos_as_xyz
'x,y,z'
'-x,-y,-z'
'-x,y,-z'
'x,-y,z'
'x+1/2,y+1/2,z'
'-x+1/2,-y+1/2,-z'
'-x+1/2,y+1/2,-z'
'x+1/2,-y+1/2,z'
loop_
_atom_site_label
_atom_site_type_symbol
_atom_site_fract_x
_atom_site_fract_y
_atom_site_fract_z
Cs1 Cs 0.000 0.000 0.000
V1 V 0.000 0.500 0.500
V2 V 0.250 0.250 0.000
B1 B 0.000 0.166 0.500
P1 P 0.215 0.360 0.478
H1 H 0.029 0.248 0.258
H2 H 0.143 0.459 0.032
O1 O 0.050 0.212 0.751
O2 O 0.119 0.427 0.375
O3 O 0.123 0.118 0.506
O4 O 0.154 0.500 0.918
O5 O 0.159 0.300 0.263
O6 O 0.217 0.339 0.769
# **DFT formation energy**: -2.32 eV per atom

# La2MgMoO6 (PBE with a Hubbard U, optimized geometry)
data_La2MgMoO6
_chemical_formula_sum 'La4 Mg2 Mo2 O12'
_cell_length_a 3.876
_cell_length_b 5.308
_cell_length_c 16.426
_cell_angle_alpha 90.00
_cell_angle_beta 90.00
_cell_angle_gamma 90.00
_symmetry_space_group_name_H-M 'I 2 2 2'
_symmetry_Int_Tables_number 23
loop_
_symmetry_equiv_pos_as_xyz
'x,y,z'
'-x,-y,z'
'x,-y,-z'
'-x,y,-z'
'x+1/2,y+1/2,z+1/2'
'-x+1/2,-y+1/2,z+1/2'
'x+1/2,-y+1/2,-z+1/2'
'-x+1/2,y+1/2,-z+1/2'
loop_
_atom_site_label
_atom_site_type_symbol
_atom_site_fract_x
_atom_site_fract_y
_atom_site_fract_z
La1 La 0.000 0.000 0.184
Mg1 Mg 0.000 0.500 0.500
Mo1 Mo 0.000 0.000 0.500
O1 O 0.000 0.500 0.244
O2 O 0.221 0.253 0.571
# **DFT formation energy**: -2.81 eV per atom

# Li9Mn2Co5O16 (PBE with a Hubbard U, optimized geometry)
data_Li9Mn2Co5O16
_chemical_formula_sum 'Li18 Mn4 Co10 O32'
_cell_length_a 11.674
_cell_length_b 5.807
_cell_length_c 10.257
_cell_angle_alpha 90.00
_cell_angle_beta 124.23
_cell_angle_gamma 90.00
_symmetry_space_group_name_H-M 'C 1 2 1'
_symmetry_Int_Tables_number 5
loop_
_symmetry_equiv_pos_as_xyz
'x,y,z'
'-x,y,-z'
'x+1/2,y+1/2,z'
'-x+1/2,y+1/2,-z'
loop_
_atom_site_label
_atom_site_type_symbol
_atom_site_fract_x
_atom_site_fract_y
_atom_site_fract_z
Li1 Li 0.000 0.000 0.000
Li2 Li 0.241 0.752 0.235
Li3 Li 0.247 0.252 0.248
Li4 Li 0.250 0.003 0.000
Li5 Li 0.250 0.003 0.501
Mn1 Mn 0.001 0.255 0.248
Co1 Co 0.000 0.001 0.500
Co2 Co 0.000 0.501 0.000
Co3 Co 0.000 0.508 0.500
Co4 Co 0.001 0.759 0.244
O1 O 0.107 0.265 0.978
O2 O 0.108 0.254 0.483
O3 O 0.110 0.732 0.989
O4 O 0.112 0.500 0.744
O5 O 0.114 0.754 0.497
O6 O 0.115 0.006 0.253
O7 O 0.115 0.017 0.746
O8 O 0.121 0.491 0.257
# **DFT formation energy**: -1.84 eV per atom
# **ΔE to the lowest computed polymorph**: 0.020 eV/atom

# ScNi2SbO6 (PBE with a Hubbard U, optimized geometry)
data_ScNi2SbO6
_chemical_formula_sum 'Sc3 Ni6 Sb3 O18'
_cell_length_a 5.2288
_cell_length_b 5.2288
_cell_length_c 14.1832
_cell_angle_alpha 90.00
_cell_angle_beta 90.00
_cell_angle_gamma 120.00
_symmetry_space_group_name_H-M 'R 3'
_symmetry_Int_Tables_number 146
_symmetry_space_group_name_Hall 'R 3'
loop_
_atom_site_label
_atom_site_type_symbol
_atom_site_fract_x
_atom_site_fract_y
_atom_site_fract_z
Sc1 Sc 0.0000 0.0000 0.0000
Ni1 Ni 0.0000 0.0000 0.2904
Ni2 Ni 0.0000 0.0000 0.7956
Sb1 Sb 0.0000 0.0000 0.4929
O1 O 0.0308 0.3487 0.5606
O2 O 0.0374 0.6677 0.0650
# **DFT formation energy**: -2.18 eV per atom
# **Maximum piezoelectric response**: 0.63 C/m2